1.
{"formula": "Cs7LiAu5O2", "functional": "GGA-PBE", "state": "relaxed", "lattice": [[9.488, -5.167, 0.000], [9.488, 5.167, 0.000], [-1.873, 0.000, 5.670]], "species": ["Cs", "Cs", "Cs", "Cs", "Cs", "Cs", "Cs", "Li", "Au", "Au", "Au", "Au", "Au", "O", "O"], "fractional_positions": [[0.000, 0.000, 0.000], [0.134, 0.515, 0.825], [0.259, 0.694, 0.477], [0.439, 0.865, 0.153], [0.515, 0.134, 0.825], [0.694, 0.259, 0.477], [0.865, 0.439, 0.153], [0.786, 0.786, 0.779], [0.128, 0.128, 0.628], [0.282, 0.282, 0.283], [0.490, 0.490, 0.990], [0.647, 0.647, 0.649], [0.827, 0.827, 0.330], [0.289, 0.687, 0.988], [0.687, 0.289, 0.988]], "ef_ev_per_fu": -9.27, "polymorph_energy_mev_per_atom": 39}



2.
{"formula": "Cs7Au5O2", "functional": "GGA-PBE", "state": "relaxed", "lattice": [[-3.080, 4.898, 8.889], [3.080, -4.898, 8.889], [3.080, 4.898, -8.889]], "species": ["Cs", "Cs", "Cs", "Cs", "Cs", "Cs", "Cs", "Au", "Au", "Au", "Au", "Au", "O", "O"], "fractional_positions": [[0.000, 0.000, 0.000], [0.113, 0.833, 0.280], [0.290, 0.500, 0.790], [0.447, 0.167, 0.280], [0.553, 0.833, 0.720], [0.710, 0.500, 0.210], [0.887, 0.167, 0.720], [0.149, 0.649, 0.500], [0.309, 0.309, 0.000], [0.500, 0.000, 0.500], [0.691, 0.691, 0.000], [0.851, 0.351, 0.500], [0.291, 0.000, 0.291], [0.709, 0.000, 0.709]], "ef_ev_per_fu": -9.90}



3.
{"formula": "CsAuS2O8", "functional": "GGA-PBE", "state": "relaxed", "lattice": [[9.247, 0.000, 0.000], [0.000, 9.307, 0.000], [-3.852, 0.000, 9.823]], "species": ["Cs", "Cs", "Cs", "Cs", "Au", "Au", "Au", "Au", "S", "S", "S", "S", "S", "S", "S", "S", "O", "O", "O", "O", "O", "O", "O", "O", "O", "O", "O", "O", "O", "O", "O", "O", "O", "O", "O", "O", "O", "O", "O", "O", "O", "O", "O", "O", "O", "O", "O", "O"], "fractional_positions": [[0.000, 0.000, 0.000], [0.227, 0.278, 0.507], [0.499, 0.781, 0.997], [0.732, 0.498, 0.513], [0.252, 0.778, 0.468], [0.485, 0.283, 0.043], [0.753, 0.992, 0.469], [0.983, 0.486, 0.044], [0.072, 0.875, 0.652], [0.159, 0.390, 0.856], [0.307, 0.611, 0.230], [0.417, 0.106, 0.285], [0.578, 0.890, 0.656], [0.653, 0.380, 0.857], [0.811, 0.160, 0.231], [0.913, 0.665, 0.278], [0.008, 0.737, 0.615], [0.045, 0.777, 0.297], [0.051, 0.365, 0.717], [0.081, 0.342, 0.953], [0.156, 0.927, 0.558], [0.182, 0.902, 0.792], [0.185, 0.488, 0.214], [0.217, 0.533, 0.892], [0.244, 0.735, 0.140], [0.283, 0.274, 0.879], [0.284, 0.040, 0.289], [0.363, 0.643, 0.388], [0.371, 0.139, 0.130], [0.443, 0.781, 0.634], [0.452, 0.543, 0.218], [0.486, 0.227, 0.368], [0.504, 0.032, 0.618], [0.547, 0.407, 0.716], [0.548, 0.986, 0.303], [0.573, 0.427, 0.957], [0.652, 0.844, 0.551], [0.679, 0.285, 0.206], [0.680, 0.873, 0.793], [0.721, 0.235, 0.894], [0.746, 0.036, 0.145], [0.777, 0.495, 0.871], [0.784, 0.732, 0.297], [0.858, 0.132, 0.386], [0.871, 0.631, 0.124], [0.945, 0.997, 0.630], [0.950, 0.230, 0.222], [0.982, 0.541, 0.362]], "ef_ev_per_fu": -19.89}



4.
{"formula": "CsAuS2O8", "functional": "GGA-PBE", "state": "relaxed", "lattice": [[10.551, 0.000, 0.000], [0.000, 9.307, 0.000], [-3.376, 0.000, 8.609]], "species": ["Cs", "Cs", "Cs", "Cs", "Au", "Au", "Au", "Au", "S", "S", "S", "S", "S", "S", "S", "S", "O", "O", "O", "O", "O", "O", "O", "O", "O", "O", "O", "O", "O", "O", "O", "O", "O", "O", "O", "O", "O", "O", "O", "O", "O", "O", "O", "O", "O", "O", "O", "O"], "fractional_positions": [[0.244, 0.141, 0.388], [0.244, 0.359, 0.888], [0.756, 0.641, 0.112], [0.756, 0.859, 0.612], [0.289, 0.644, 0.367], [0.289, 0.856, 0.867], [0.711, 0.144, 0.133], [0.711, 0.356, 0.633], [0.098, 0.743, 0.540], [0.098, 0.757, 0.040], [0.474, 0.529, 0.695], [0.474, 0.971, 0.195], [0.526, 0.029, 0.805], [0.526, 0.471, 0.305], [0.902, 0.243, 0.960], [0.902, 0.257, 0.460], [0.041, 0.233, 0.565], [0.041, 0.267, 0.065], [0.120, 0.640, 0.168], [0.120, 0.860, 0.668], [0.135, 0.601, 0.605], [0.135, 0.899, 0.105], [0.200, 0.706, 0.962], [0.200, 0.794, 0.462], [0.371, 0.506, 0.253], [0.371, 0.994, 0.753], [0.388, 0.095, 0.132], [0.388, 0.405, 0.632], [0.454, 0.646, 0.569], [0.454, 0.854, 0.069], [0.462, 0.595, 0.832], [0.462, 0.905, 0.332], [0.538, 0.095, 0.668], [0.538, 0.405, 0.168], [0.546, 0.146, 0.931], [0.546, 0.354, 0.431], [0.612, 0.595, 0.368], [0.612, 0.905, 0.868], [0.629, 0.006, 0.247], [0.629, 0.494, 0.747], [0.800, 0.206, 0.538], [0.800, 0.294, 0.038], [0.865, 0.101, 0.895], [0.865, 0.399, 0.395], [0.880, 0.140, 0.332], [0.880, 0.360, 0.832], [0.959, 0.733, 0.935], [0.959, 0.767, 0.435]], "ef_ev_per_fu": -20.28}



5.
{"formula": "Cs2PAuS4", "functional": "GGA-PBE", "state": "relaxed", "lattice": [[7.154, 0.000, 0.000], [0.000, 20.458, 0.000], [0.000, 0.000, 7.291]], "species": ["Cs", "Cs", "Cs", "Cs", "Cs", "Cs", "Cs", "Cs", "P", "P", "P", "P", "Au", "Au", "Au", "Au", "S", "S", "S", "S", "S", "S", "S", "S", "S", "S", "S", "S", "S", "S", "S", "S"], "fractional_positions": [[0.094, 0.166, 0.250], [0.094, 0.334, 0.750], [0.291, 0.016, 0.750], [0.291, 0.484, 0.250], [0.709, 0.516, 0.750], [0.709, 0.984, 0.250], [0.906, 0.666, 0.250], [0.906, 0.834, 0.750], [0.223, 0.614, 0.750], [0.223, 0.886, 0.250], [0.777, 0.114, 0.750], [0.777, 0.386, 0.250], [0.379, 0.750, 0.000], [0.379, 0.750, 0.500], [0.621, 0.250, 0.000], [0.621, 0.250, 0.500], [0.026, 0.160, 0.750], [0.026, 0.340, 0.250], [0.210, 0.514, 0.750], [0.210, 0.986, 0.250], [0.379, 0.637, 0.513], [0.379, 0.637, 0.987], [0.379, 0.863, 0.013], [0.379, 0.863, 0.487], [0.621, 0.137, 0.513], [0.621, 0.137, 0.987], [0.621, 0.363, 0.013], [0.621, 0.363, 0.487], [0.790, 0.014, 0.750], [0.790, 0.486, 0.250], [0.974, 0.660, 0.750], [0.974, 0.840, 0.250]], "ef_ev_per_fu": -8.35}



6.
{"formula": "Cs3Pb4Au", "functional": "GGA-PBE", "state": "relaxed", "lattice": [[7.542, 0.000, 0.000], [0.000, 14.096, 0.000], [0.000, 0.000, 7.083]], "species": ["Cs", "Cs", "Cs", "Cs", "Cs", "Cs", "Pb", "Pb", "Pb", "Pb", "Pb", "Pb", "Pb", "Pb", "Au", "Au"], "fractional_positions": [[0.250, 0.004, 0.166], [0.250, 0.250, 0.565], [0.250, 0.496, 0.166], [0.750, 0.504, 0.834], [0.750, 0.750, 0.435], [0.750, 0.996, 0.834], [0.031, 0.750, 0.949], [0.250, 0.634, 0.655], [0.250, 0.866, 0.655], [0.469, 0.750, 0.949], [0.531, 0.250, 0.051], [0.750, 0.134, 0.345], [0.750, 0.366, 0.345], [0.969, 0.250, 0.051], [0.250, 0.750, 0.302], [0.750, 0.250, 0.698]], "ef_ev_per_fu": -2.15}



7.
{"formula": "CsRb2Au7", "functional": "GGA-PBE", "state": "relaxed", "lattice": [[7.402, 0.000, 0.000], [0.000, 2.858, 6.906], [0.000, -2.858, 6.906]], "species": ["Cs", "Rb", "Rb", "Au", "Au", "Au", "Au", "Au", "Au", "Au"], "fractional_positions": [[0.000, 0.000, 0.000], [0.000, 0.678, 0.678], [0.500, 0.839, 0.839], [0.000, 0.338, 0.338], [0.305, 0.232, 0.232], [0.305, 0.446, 0.446], [0.500, 0.340, 0.839], [0.500, 0.839, 0.340], [0.695, 0.232, 0.232], [0.695, 0.446, 0.446]], "ef_ev_per_fu": -2.73}



8.
{"formula": "Cs2SnAu2S4", "functional": "GGA-PBE", "state": "relaxed", "lattice": [[0.000, 7.438, 12.843], [3.131, 0.000, 12.843], [3.131, 7.438, 0.000]], "species": ["Cs", "Cs", "Cs", "Cs", "Sn", "Sn", "Au", "Au", "Au", "Au", "S", "S", "S", "S", "S", "S", "S", "S"], "fractional_positions": [[0.055, 0.055, 0.695], [0.305, 0.305, 0.945], [0.695, 0.695, 0.055], [0.945, 0.945, 0.305], [0.125, 0.125, 0.125], [0.875, 0.875, 0.875], [0.314, 0.314, 0.436], [0.436, 0.436, 0.314], [0.564, 0.564, 0.686], [0.686, 0.686, 0.564], [0.072, 0.294, 0.374], [0.239, 0.626, 0.706], [0.294, 0.072, 0.761], [0.374, 0.761, 0.072], [0.626, 0.239, 0.928], [0.706, 0.928, 0.239], [0.761, 0.374, 0.294], [0.928, 0.706, 0.626]], "ef_ev_per_fu": -8.39}



9.
{"formula": "Cs2Au2Se3", "functional": "GGA-PBE", "state": "relaxed", "lattice": [[5.004, -6.824, 0.000], [5.004, 6.824, 0.000], [-0.234, 0.000, 7.614]], "species": ["Cs", "Cs", "Cs", "Cs", "Au", "Au", "Au", "Au", "Se", "Se", "Se", "Se", "Se", "Se"], "fractional_positions": [[0.134, 0.344, 0.133], [0.344, 0.134, 0.633], [0.656, 0.866, 0.367], [0.866, 0.656, 0.867], [0.223, 0.646, 0.541], [0.354, 0.777, 0.959], [0.646, 0.223, 0.041], [0.777, 0.354, 0.459], [0.051, 0.733, 0.324], [0.267, 0.949, 0.176], [0.417, 0.583, 0.750], [0.583, 0.417, 0.250], [0.733, 0.051, 0.824], [0.949, 0.267, 0.676]], "ef_ev_per_fu": -6.15}



10.
{"formula": "CsUAuSe3", "functional": "GGA-PBE", "state": "relaxed", "lattice": [[2.114, -8.143, 0.000], [2.114, 8.143, 0.000], [0.000, 0.000, 10.775]], "species": ["Cs", "Cs", "U", "U", "Au", "Au", "Se", "Se", "Se", "Se", "Se", "Se"], "fractional_positions": [[0.247, 0.753, 0.750], [0.753, 0.247, 0.250], [0.500, 0.500, 0.000], [0.500, 0.500, 0.500], [0.042, 0.958, 0.250], [0.958, 0.042, 0.750], [0.117, 0.883, 0.040], [0.117, 0.883, 0.460], [0.439, 0.561, 0.250], [0.561, 0.439, 0.750], [0.883, 0.117, 0.540], [0.883, 0.117, 0.960]], "ef_ev_per_fu": -7.49}



11.
{"formula": "Cs3Sn4Au", "functional": "GGA-PBE", "state": "relaxed", "lattice": [[7.551, 0.000, 0.000], [0.000, 15.553, 0.000], [0.000, 0.000, 6.749]], "species": ["Cs", "Cs", "Cs", "Cs", "Cs", "Cs", "Sn", "Sn", "Sn", "Sn", "Sn", "Sn", "Sn", "Sn", "Au", "Au"], "fractional_positions": [[0.250, 0.056, 0.075], [0.250, 0.250, 0.485], [0.250, 0.444, 0.075], [0.750, 0.556, 0.925], [0.750, 0.750, 0.515], [0.750, 0.944, 0.925], [0.047, 0.750, 0.065], [0.250, 0.650, 0.369], [0.250, 0.850, 0.369], [0.453, 0.750, 0.065], [0.547, 0.250, 0.935], [0.750, 0.150, 0.631], [0.750, 0.350, 0.631], [0.953, 0.250, 0.935], [0.250, 0.750, 0.715], [0.750, 0.250, 0.285]], "ef_ev_per_fu": -1.97}



12.
{"formula": "Cs4Sn2Au7", "functional": "GGA-PBE", "state": "relaxed", "lattice": [[3.512, 2.028, 10.083], [-3.512, 2.028, 10.083], [0.000, -4.056, 10.083]], "species": ["Cs", "Cs", "Cs", "Cs", "Sn", "Sn", "Au", "Au", "Au", "Au", "Au", "Au", "Au"], "fractional_positions": [[0.185, 0.185, 0.185], [0.313, 0.313, 0.313], [0.687, 0.687, 0.687], [0.815, 0.815, 0.815], [0.051, 0.051, 0.051], [0.949, 0.949, 0.949], [0.288, 0.288, 0.694], [0.288, 0.694, 0.288], [0.306, 0.712, 0.712], [0.500, 0.500, 0.500], [0.694, 0.288, 0.288], [0.712, 0.306, 0.712], [0.712, 0.712, 0.306]], "ef_ev_per_fu": -4.75}



13.
{"formula": "CsTeAu", "functional": "GGA-PBE", "state": "relaxed", "lattice": [[6.350, 0.000, 0.000], [0.000, 5.535, 0.000], [0.000, 0.000, 7.328]], "species": ["Cs", "Cs", "Te", "Te", "Au", "Au"], "fractional_positions": [[0.250, 0.000, 0.211], [0.750, 0.000, 0.789], [0.250, 0.500, 0.788], [0.750, 0.500, 0.212], [0.000, 0.500, 0.500], [0.500, 0.500, 0.500]], "ef_ev_per_fu": -2.14}



14.
{"formula": "CsTeAu", "functional": "GGA-PBE", "state": "relaxed", "lattice": [[7.826, 0.000, 0.000], [0.000, 5.571, 0.000], [0.000, 0.000, 6.272]], "species": ["Cs", "Cs", "Te", "Te", "Au", "Au"], "fractional_positions": [[0.250, 0.000, 0.238], [0.750, 0.000, 0.762], [0.250, 0.500, 0.778], [0.750, 0.500, 0.222], [0.000, 0.500, 0.500], [0.500, 0.500, 0.500]], "ef_ev_per_fu": -2.14}



15.
{"formula": "CuAu", "functional": "GGA-PBE", "state": "relaxed", "lattice": [[1.443, 0.833, 4.256], [-1.443, 0.833, 4.256], [0.000, -1.666, 4.256]], "species": ["Cu", "Au"], "fractional_positions": [[0.000, 0.000, 0.000], [0.500, 0.500, 0.500]], "ef_ev_per_fu": 0.05}



16.
{"formula": "Cu3Au", "functional": "GGA-PBE", "state": "relaxed", "lattice": [[3.774, 0.000, 0.000], [0.000, 3.774, 0.000], [0.000, 0.000, 3.774]], "species": ["Cu", "Cu", "Cu", "Au"], "fractional_positions": [[0.000, 0.000, 0.500], [0.000, 0.500, 0.000], [0.500, 0.000, 0.000], [0.500, 0.500, 0.500]], "ef_ev_per_fu": -0.15}



17.
{"formula": "CuAu3", "functional": "GGA-PBE", "state": "relaxed", "lattice": [[5.705, 0.000, 0.000], [-2.853, 4.941, 0.000], [0.000, 0.000, 4.755]], "species": ["Cu", "Cu", "Au", "Au", "Au", "Au", "Au", "Au"], "fractional_positions": [[0.333, 0.667, 0.250], [0.667, 0.333, 0.750], [0.169, 0.339, 0.750], [0.169, 0.831, 0.750], [0.339, 0.169, 0.250], [0.661, 0.831, 0.750], [0.831, 0.169, 0.250], [0.831, 0.661, 0.250]], "ef_ev_per_fu": -0.03}